VASP calculation (GGA-PBE) on Li2ScP2HO8 after structural relaxation.

Cell: 8.301 4.913 7.760 Å, 76.01 90.00 90.00°
Fractional positions:
Li 0.633 0.365 0.093
Li 0.865 0.855 0.587
Li 0.365 0.145 0.413
Li 0.133 0.635 0.907
Sc 0.500 0.751 0.744
Sc 0.000 0.249 0.256
P 0.843 0.881 0.985
P 0.650 0.387 0.474
P 0.150 0.613 0.526
P 0.343 0.119 0.015
H 0.980 0.210 0.765
H 0.480 0.790 0.235
O 0.823 0.109 0.088
O 0.676 0.607 0.586
O 0.176 0.393 0.414
O 0.323 0.891 0.912
O 0.932 0.006 0.800
O 0.560 0.508 0.299
O 0.060 0.492 0.701
O 0.432 0.994 0.200
O 0.683 0.761 0.936
O 0.815 0.264 0.435
O 0.315 0.736 0.565
O 0.183 0.239 0.064
O 0.954 0.643 0.085
O 0.545 0.144 0.585
O 0.045 0.856 0.415
O 0.454 0.357 0.915

Calculated values
ΔE_f   -40.081 eV per formula unit
Mass density   2.7 g/cm³
Total energy   -7.04 eV/atom

=====

VASP calculation (GGA-PBE) on LiSn2P4H3O16 after structural relaxation.

Cell: 4.963 7.572 8.179 Å, 89.98 91.24 103.97°
Fractional positions:
Li 0.421 0.865 0.115
Sn 0.500 0.002 0.502
Sn 0.988 0.491 0.996
P 0.122 0.257 0.656
P 0.361 0.231 0.148
P 0.630 0.769 0.850
P 0.877 0.738 0.339
H 0.002 0.002 0.005
H 0.441 0.507 0.630
H 0.537 0.503 0.405
O 0.114 0.833 0.453
O 0.987 0.700 0.171
O 0.156 0.355 0.172
O 0.272 0.443 0.570
O 0.370 0.670 0.948
O 0.551 0.813 0.674
O 0.225 0.051 0.058
O 0.332 0.136 0.675
O 0.654 0.853 0.319
O 0.756 0.937 0.954
O 0.454 0.182 0.320
O 0.605 0.338 0.048
O 0.740 0.551 0.420
O 0.819 0.634 0.826
O 0.031 0.301 0.825
O 0.884 0.171 0.538

Calculated values
ΔE_f   -59.612 eV per formula unit
Piezoelectric modulus e_max   1.08 C/m²
Mass density   3.5 g/cm³
Total energy   -6.52 eV/atom

=====

VASP calculation (GGA-PBE) on LiSnPHO5 after structural relaxation.

Cell: 5.928 8.134 5.173 Å, 107.67 96.18 108.46°
Fractional positions:
Li 0.399 0.824 0.750
Li 0.601 0.176 0.250
Sn 0.000 0.500 0.000
Sn 0.000 0.000 0.000
P 0.355 0.220 0.650
P 0.645 0.780 0.350
H 0.048 0.300 0.372
H 0.952 0.700 0.628
O 0.065 0.761 0.820
O 0.216 0.353 0.677
O 0.376 0.691 0.357
O 0.241 0.050 0.363
O 0.336 0.136 0.890
O 0.664 0.864 0.110
O 0.759 0.950 0.637
O 0.624 0.309 0.643
O 0.784 0.647 0.323
O 0.935 0.239 0.180

Calculated values
ΔE_f   -20.166 eV per formula unit
Mass density   3.6 g/cm³
Total energy   -6.24 eV/atom

=====

VASP calculation (GGA-PBE) on Li4Sn2P4H3O16 after structural relaxation.

Cell: 4.945 8.146 8.913 Å, 90.69 91.44 100.75°
Fractional positions:
Li 0.107 0.684 0.652
Li 0.404 0.842 0.126
Li 0.614 0.154 0.866
Li 0.877 0.311 0.346
Sn 0.999 0.506 0.996
Sn 0.495 0.995 0.501
P 0.127 0.274 0.666
P 0.364 0.230 0.142
P 0.620 0.775 0.855
P 0.874 0.723 0.330
H 0.461 0.492 0.640
H 0.534 0.515 0.380
H 0.041 0.022 0.020
O 0.056 0.796 0.465
O 0.966 0.306 0.808
O 0.132 0.331 0.173
O 0.267 0.461 0.607
O 0.410 0.673 0.964
O 0.477 0.797 0.702
O 0.228 0.048 0.074
O 0.358 0.179 0.700
O 0.640 0.816 0.295
O 0.741 0.944 0.932
O 0.512 0.197 0.287
O 0.559 0.317 0.022
O 0.736 0.533 0.383
O 0.848 0.667 0.822
O 0.043 0.695 0.192
O 0.937 0.202 0.535

Calculated values
ΔE_f   -67.277 eV per formula unit
Mass density   3.1 g/cm³
Total energy   -6.31 eV/atom